Record 1
Co2O3F PBE+U optimized geometry; size of the total moment = 1.0 μB per formula unit; volume = 240 Å³/cell; ΔH_f (0 K) = -1297 meV/atom; excess energy over the best structure of this formula in the dataset = 0.0177 eV/atom
1.0
4.4498 -0.1696 0.0261
-0.1697 4.4498 -0.0261
0.0679 -0.0679 12.1166
O F Co
12 4 8
Cartesian
1.3544 1.2279 5.9680
3.5629 0.7173 4.5695
1.3636 1.2181 3.0496
3.0276 3.0149 0.0180
3.6082 0.6720 1.5249
0.7426 3.5375 7.5548
3.0620 2.9166 3.0496
1.2653 1.2526 0.0180
1.2555 1.2400 9.0864
3.0402 3.0247 9.0864
3.0523 2.9258 5.9680
0.7508 3.5293 10.6310
3.5187 0.7615 7.5898
0.8557 3.4245 4.5072
0.8232 3.4569 1.5518
3.5290 0.7512 10.6127
-0.1615 4.4416 -0.0032
2.2742 2.0060 4.5256
2.0251 2.2551 7.5046
2.2783 2.0018 1.5074
-0.0807 4.3609 9.0873
2.0548 2.2254 10.5952
4.4826 -0.2024 6.1177
4.3906 -0.1104 3.1048



Record 2
Co2O3F PBE+U optimized geometry; size of the total moment = 6.0 μB per formula unit; volume = 121 Å³/cell; ΔH_f (0 K) = -1271 meV/atom; excess energy over the best structure of this formula in the dataset = 0.0434 eV/atom
1.0
-1.5154 0.2853 5.1669
3.2059 -2.7151 3.4428
5.0173 2.0795 0.0588
Co F O
4 2 6
Cartesian
2.7687 0.3311 1.9514
5.8631 0.8642 4.3634
3.9388 -0.6817 6.7166
3.2052 -2.7145 3.4432
2.7970 -1.5368 4.8935
3.9111 1.1865 3.7752
6.4396 -0.3174 2.9977
0.2684 -0.0331 5.6707
5.3084 -0.6025 5.3992
1.3995 0.2522 3.2694
2.9383 0.8726 6.2788
2.2543 -0.9377 7.5566



Record 3
Co3OF5 PBE+U optimized geometry; size of the total moment = 9.0 μB per formula unit; volume = 212 Å³/cell; ΔH_f (0 K) = -2072 meV/atom; excess energy over the best structure of this formula in the dataset = 0.0143 eV/atom
1.0
-5.5411 -0.2327 -1.3144
-0.6323 -4.4706 -3.4785
-2.9498 -5.4211 3.9251
F Co O
10 6 2
Cartesian
-3.5646 -1.6805 -0.5129
-4.3661 -3.9489 -2.1707
-3.2067 -4.1679 0.8881
-5.5586 -8.4439 -0.3549
-5.9164 -5.9565 -1.7559
-3.0908 -6.3319 -1.0823
-4.7570 -6.1755 1.3029
-6.0323 -3.7925 0.2145
-1.6182 -3.3608 -1.3710
-7.5050 -6.7636 0.5032
-7.1416 -7.5725 -1.3704
-1.9816 -2.5519 0.5026
-5.7166 -4.8164 -3.5352
-3.0867 -2.3516 -2.3965
-4.5616 -5.0622 -0.4339
-3.4066 -5.3080 2.6674
-8.3005 -9.0684 -1.0696
-0.8227 -1.0560 0.2017



Record 4
Co3OF5 PBE+U optimized geometry; size of the total moment = 8.0 μB per formula unit; volume = 213 Å³/cell; ΔH_f (0 K) = -2049 meV/atom; excess energy over the best structure of this formula in the dataset = 0.0368 eV/atom
1.0
-3.4907 4.4411 -0.5595
-4.7086 -1.0420 2.9974
0.4300 3.9795 6.3147
O F Co
2 10 6
Cartesian
-0.6012 3.1680 4.7005
-4.3573 0.5999 1.9525
-7.2846 4.2422 4.0784
-2.0666 5.4358 3.9378
-4.2264 4.4009 5.3627
-3.3695 2.9521 3.4312
-5.7374 1.9114 4.7935
-4.9754 5.2346 2.6519
-2.7954 2.1002 6.1168
-3.8564 2.8763 0.4834
-6.3128 2.7467 2.1015
-1.5355 4.6243 6.6508
-4.2761 3.0861 9.1754
0.1685 2.0197 3.1988
-2.2889 3.6944 4.9743
-5.0584 5.5386 6.9306
-2.7313 1.7538 1.8745
-5.3435 3.5918 3.7609



Record 5
Co6O7F5 PBE+U optimized geometry; size of the total moment = 11.0 μB per formula unit; volume = 187 Å³/cell; ΔH_f (0 K) = -1500 meV/atom; excess energy over the best structure of this formula in the dataset = 0.0045 eV/atom
1.0
-1.7276 -4.0601 -1.4193
3.4174 -3.1677 2.8846
-4.4756 -0.8488 5.9081
Co O F
6 7 5
Cartesian
0.8076 -3.9053 0.8609
-1.8577 -1.6299 4.9144
-0.9952 -5.1955 5.6113
-0.8818 -6.4120 2.4299
1.6544 -7.1631 1.4539
-1.7745 -2.8342 1.7239
0.0359 -2.9086 2.2660
-2.6084 -2.1508 3.2401
0.5518 -5.6596 1.5316
-0.1362 -5.9361 4.0799
-0.9671 -3.5566 0.2224
-1.8634 -4.4978 7.1587
-2.8159 -5.1665 5.1391
1.9254 -3.9459 3.8424
-4.7925 -4.0354 3.5258
-1.9977 -4.8717 2.4841
-0.5991 -3.2237 4.8215
-3.4380 -2.3630 5.8788



Record 6
CoOF PBE+U optimized geometry; size of the total moment = 3.0 μB per formula unit; volume = 189 Å³/cell; ΔH_f (0 K) = -1570 meV/atom; excess energy over the best structure of this formula in the dataset = 0.0427 eV/atom
1.0
2.8901 0.0000 0.0000
0.0000 4.7104 0.0000
0.0000 1.0486 13.9187
O F Co
6 6 6
Cartesian
1.4451 2.0679 12.4747
1.4451 3.6911 1.4440
0.0000 2.4839 10.2541
0.0000 1.7557 5.4761
0.0000 3.2751 3.6645
0.0000 4.0033 8.4426
1.4451 5.0018 10.7503
1.4451 0.7571 3.1684
1.4451 4.1743 6.0374
1.4451 1.5847 7.8812
0.0000 1.2568 0.9750
0.0000 4.5021 12.9437
0.0000 0.5243 6.9593
0.0000 4.4856 2.2939
0.0000 1.2734 11.6248
1.4451 2.3552 0.0000
1.4451 2.5429 4.5790
1.4451 3.2160 9.3397



Record 7
Co3OF5 PBE+U optimized geometry; size of the total moment = 10.0 μB per formula unit; volume = 212 Å³/cell; ΔH_f (0 K) = -2083 meV/atom; excess energy over the best structure of this formula in the dataset = 0.0032 eV/atom
1.0
-4.2040 -1.4430 1.5858
0.1957 -4.6834 -3.2337
3.3957 -4.2576 5.7302
F Co O
10 6 2
Cartesian
0.7347 -3.4998 3.3102
-1.3473 -6.8843 0.7721
-0.7866 -4.5846 5.5392
0.1740 -5.7995 -1.4569
-2.5324 -2.3852 1.0463
2.2744 -5.4785 4.4816
1.9198 -7.9989 3.0360
-2.8870 -4.9056 -0.3993
1.2241 -5.6334 1.4999
-1.8367 -4.7507 2.5824
-2.0041 -3.0632 -0.8240
1.1044 -4.4633 -0.2061
-1.7171 -5.9208 4.2884
0.2439 -7.4089 1.9643
-0.8565 -2.9752 2.1180
0.0000 0.0000 0.0000
-0.3834 -3.6053 0.2765
-0.2292 -6.7788 3.8058



Record 8
Co2O3F PBE+U optimized geometry; size of the total moment = 2.6 μB per formula unit; volume = 227 Å³/cell; ΔH_f (0 K) = -1293 meV/atom; excess energy over the best structure of this formula in the dataset = 0.0220 eV/atom
1.0
3.0239 -3.1761 0.0000
3.0239 3.1761 0.0000
0.0000 0.0000 11.8021
Co O F
8 12 4
Cartesian
3.0239 -0.1274 0.0000
3.0239 -0.1328 2.9492
3.0239 -3.0873 1.4769
3.0239 -3.1560 7.3762
3.0239 -3.0873 10.3252
3.0239 0.1877 5.9011
3.0239 -0.1328 8.8529
3.0239 -3.1560 4.4259
1.8432 -0.0491 10.3261
1.8432 -0.0491 1.4760
3.0239 -1.9325 2.9462
1.8531 0.0391 4.4235
4.2045 -0.0491 1.4760
3.0239 -1.9325 8.8559
3.0239 1.9733 5.9011
4.1947 0.0391 4.4235
3.0239 -1.9166 0.0000
1.8531 0.0391 7.3786
4.1947 0.0391 7.3786
4.2045 -0.0491 10.3261
3.0239 1.9129 0.0000
3.0239 -1.7529 5.9011
3.0239 1.8376 8.9018
3.0239 1.8376 2.9003